The following is a GGA-PBE calculation of a relaxed structure of Hf2Sc2SiS5O24, from Materials Project.

Calculated values
The value obtained for the corrected total energy (MP2020 scheme) is -7.931 eV per atom. For the calculated volume, the calculation gives 1579.6 Å³/cell. For the spin magnetization, the calculation gives 0.000 μB/f.u. The value obtained for the formation energy from the elements is -2711.8 meV per atom. The calculation puts the calculated density at 3.2 Mg/m³.

abc: 8.9006 8.9130 22.9737
angles: 90.13 90.04 119.92
Element x y z (fractional)
Hf 0.0000 0.0000 0.0000
Hf 0.0026 0.0077 0.4997
Hf 0.3228 0.6616 0.8791
Hf 0.3291 0.6608 0.3792
Hf 0.6807 0.3440 0.0456
Hf 0.9943 0.9913 0.2105
Sc 0.3204 0.6672 0.1649
Sc 0.3308 0.6675 0.6673
Sc 0.6501 0.3314 0.3361
Sc 0.6528 0.3386 0.5431
Sc 0.6730 0.3299 0.8353
Sc 0.9952 0.0016 0.7115
Si 0.3764 0.3341 0.4393
Si 0.9510 0.3307 0.9385
Si 0.9987 0.7136 0.1054
S 0.0388 0.3787 0.2723
S 0.0410 0.6686 0.7717
S 0.2849 0.0005 0.6068
S 0.2846 0.2890 0.1062
S 0.3310 0.3792 0.7720
S 0.3318 0.9574 0.2723
S 0.3762 0.0472 0.9386
S 0.6175 0.6676 0.2720
S 0.6177 0.9557 0.7719
S 0.6623 0.6220 0.9386
S 0.6627 0.0462 0.4392
S 0.7074 0.9994 0.1061
S 0.7083 0.7132 0.6066
S 0.9512 0.6230 0.4393
S 0.9950 0.2900 0.6065
O 0.0233 0.2054 0.5542
O 0.0236 0.2062 0.2639
O 0.0243 0.8350 0.0498
O 0.0248 0.8243 0.7636
O 0.1220 0.4865 0.2210
O 0.1240 0.6408 0.7202
O 0.1286 0.6491 0.4291
O 0.1415 0.5027 0.9277
O 0.1518 0.4616 0.6148
O 0.1519 0.4630 0.3247
O 0.1531 0.6974 0.8240
O 0.1647 0.6914 0.1164
O 0.1730 0.9719 0.5544
O 0.1743 0.2077 0.7636
O 0.1739 0.2087 0.0540
O 0.1766 0.9790 0.2642
O 0.1835 0.1672 0.4507
O 0.2003 0.1796 0.1584
O 0.2006 0.0243 0.9471
O 0.2022 0.0285 0.6582
O 0.3014 0.8449 0.6148
O 0.3005 0.8483 0.3246
O 0.3026 0.4638 0.8242
O 0.3054 0.4607 0.1150
O 0.3511 0.5016 0.4278
O 0.3559 0.4888 0.7204
O 0.3565 0.8728 0.9292
O 0.3572 0.8758 0.2207
O 0.4510 0.1536 0.8866
O 0.4543 0.3023 0.0968
O 0.4571 0.1518 0.5979
O 0.4631 0.3027 0.3822
O 0.4804 0.1241 0.9915
O 0.4828 0.3607 0.7816
O 0.4847 0.1294 0.2803
O 0.4953 0.3663 0.4963
O 0.5083 0.8719 0.4288
O 0.5081 0.8720 0.7200
O 0.5097 0.6458 0.9295
O 0.5115 0.6415 0.2204
O 0.5349 0.6942 0.6150
O 0.5361 0.6974 0.3245
O 0.5370 0.8471 0.8242
O 0.5383 0.8464 0.1150
O 0.6288 0.5133 0.9911
O 0.6340 0.1224 0.4916
O 0.6336 0.1267 0.7794
O 0.6438 0.5197 0.2813
O 0.6855 0.1523 0.0978
O 0.6905 0.5448 0.8867
O 0.6925 0.5423 0.5988
O 0.6965 0.1526 0.3870
O 0.7892 0.8219 0.5542
O 0.7912 0.8274 0.2651
O 0.7907 0.9751 0.0542
O 0.7911 0.9748 0.7633
O 0.8139 0.0200 0.4494
O 0.8145 0.7961 0.9483
O 0.8179 0.7970 0.6584
O 0.8198 0.0333 0.1585
O 0.8237 0.5260 0.0980
O 0.8314 0.3046 0.8821
O 0.8432 0.3085 0.5967
O 0.8465 0.5471 0.3869
O 0.8601 0.3644 0.9951
O 0.8680 0.3590 0.2825
O 0.8688 0.5174 0.7804
O 0.8788 0.5163 0.4915
O 0.9679 0.8078 0.1624
O 0.9700 0.1803 0.6580
O 0.9712 0.7973 0.4495
O 0.9754 0.1659 0.9507